(1)
A plane-wave DFT calculation with meta-GGA r2SCAN was carried out for a relaxed structure of LuCl3.

Computed properties:
As for the formation enthalpy at 0 K: -2.419 eV/atom. The calculated density comes out at 3469 kg/m³.

abc: 9.4639 9.4639 3.4726
angles: 90.00 90.00 120.00
Last column: nearest neighbours and their distance in Å.
Space group P6_3/mmc (No. 194)
Inequivalent atoms, fractional coordinates:
Lu 0.3333 0.6667 0.2500 x2  6 Cl 2.59
Cl 0.2159 0.4318 0.7500 x6  2 Lu 2.59

=====

(2)
A plane-wave DFT calculation with meta-GGA r2SCAN was carried out for a relaxed structure of BaCu3O4.

Computed properties:
As for the formation enthalpy at 0 K: -1.305 eV/atom. The calculated density comes out at 5386 kg/m³.

abc: 5.5168 10.9893 3.9869
angles: 90.00 90.00 90.00
Last column: nearest neighbours and their distance in Å.
Space group Cmmm (No. 65)
Inequivalent atoms, fractional coordinates:
Ba 0.0000 0.0000 0.0000 x2  8 O 2.82
Cu 0.0000 0.2472 0.5000 x4  4 O 1.92-1.93
Cu 0.0000 0.5000 0.5000 x2  4 O 1.94
O 0.2423 0.3721 0.5000 x8  3 Cu 1.92-1.94